Material: SiO2
Method: DFT, GGA-PBE
State: optimized geometry

```
SiO2
1.0
-5.1098 4.1539 2.5432
5.1098 -4.1539 2.5432
5.1098 4.1539 -2.5432
Si O
4 8
direct
0.1441 0.1005 0.2446 Si
0.1441 0.3995 0.5436 Si
0.8559 0.6005 0.4564 Si
0.8559 0.8995 0.7554 Si
0.0684 0.0684 0.0000 O
0.0684 0.5684 0.5000 O
0.1108 0.2836 0.3272 O
0.4946 0.2762 0.3709 O
0.4946 0.6237 0.7183 O
0.9053 0.1237 0.6291 O
0.9053 0.7762 0.2817 O
0.9564 0.7836 0.6728 O
```

Summary:
As for the energy with MP2020 corrections: -8.36 eV per atom. As for the maximum piezoelectric response: 0.29 C/m2. Its space group is Ima2, No. 46.

Material: NbPd3
Method: DFT, GGA-PBE
State: optimized geometry

```
NbPd3
1.0
5.5886 0.0000 0.0000
0.0000 13.8112 0.0000
0.0000 0.0000 4.9127
Nb Pd
6 18
direct
0.2500 0.0854 0.1673 Nb
0.2500 0.4146 0.1673 Nb
0.2500 0.7500 0.5047 Nb
0.7500 0.2500 0.4953 Nb
0.7500 0.5854 0.8327 Nb
0.7500 0.9146 0.8327 Nb
0.0009 0.5818 0.3323 Pd
0.0012 0.7500 0.0084 Pd
0.0009 0.9182 0.3323 Pd
0.2500 0.2500 0.4819 Pd
0.2500 0.5859 0.8334 Pd
0.2500 0.9141 0.8334 Pd
0.4991 0.5818 0.3323 Pd
0.4988 0.7500 0.0084 Pd
0.4991 0.9182 0.3323 Pd
0.5009 0.0818 0.6677 Pd
0.5012 0.2500 0.9916 Pd
0.5009 0.4182 0.6677 Pd
0.7500 0.0859 0.1666 Pd
0.7500 0.4141 0.1666 Pd
0.7500 0.7500 0.5181 Pd
0.9991 0.0818 0.6677 Pd
0.9988 0.2500 0.9916 Pd
0.9991 0.4182 0.6677 Pd
```

Summary:
Its space group is Pmmn, No. 59.

Material: CsMg12Al25Si29O108
Method: DFT, GGA-PBE
State: optimized geometry

```
CsMg12Al25Si29O108
1.0
9.8396 0.0000 0.0000
4.8874 8.6808 0.0000
0.0040 -0.0001 28.3673
Cs Mg Al Si O
1 12 25 29 108
direct
0.0000 0.0000 0.0000 Cs
0.3244 0.3497 0.8331 Mg
0.3241 0.3510 0.3334 Mg
0.3250 0.3498 0.1670 Mg
0.3257 0.3443 0.5001 Mg
0.3257 0.3443 0.6666 Mg
0.3269 0.3455 0.0000 Mg
0.6571 0.6861 0.0001 Mg
0.6610 0.6776 0.1669 Mg
0.6620 0.6769 0.3333 Mg
0.6618 0.6780 0.8331 Mg
0.6624 0.6796 0.5002 Mg
0.6624 0.6797 0.6665 Mg
0.2616 0.1107 0.5834 Al
0.3551 0.9102 0.4169 Al
0.3546 0.9101 0.7495 Al
0.3601 0.9066 0.0836 Al
0.3728 0.7429 0.2502 Al
0.3743 0.7445 0.9163 Al
0.4952 0.0096 0.9999 Al
0.4945 0.5094 0.4998 Al
0.4946 0.5094 0.6669 Al
0.4955 0.5126 0.1666 Al
0.4962 0.5120 0.0002 Al
0.4960 0.5124 0.3338 Al
0.4963 0.5118 0.8327 Al
0.7340 0.9060 0.9164 Al
0.7362 0.9093 0.5833 Al
0.7367 0.9095 0.2503 Al
0.8814 0.7448 0.0837 Al
0.8858 0.7426 0.4164 Al
0.8857 0.7428 0.7501 Al
0.9912 0.5125 0.5007 Al
0.9912 0.5125 0.6660 Al
0.9918 0.5121 0.0000 Al
0.9920 0.5119 0.1671 Al
0.9918 0.5122 0.3332 Al
0.9919 0.5125 0.8333 Al
0.0968 0.2812 0.4170 Si
0.0968 0.2811 0.7496 Si
0.0988 0.2790 0.0835 Si
0.1065 0.6301 0.2501 Si
0.1070 0.6304 0.5833 Si
0.1073 0.6305 0.9165 Si
0.2625 0.1166 0.9164 Si
0.2620 0.6303 0.0835 Si
0.2631 0.1128 0.2503 Si
0.2637 0.6300 0.4167 Si
0.2635 0.6299 0.7499 Si
0.3714 0.7393 0.5833 Si
0.4955 0.0101 0.1677 Si
0.4952 0.0099 0.3332 Si
0.4946 0.0101 0.8326 Si
0.4975 0.0096 0.4994 Si
0.4975 0.0096 0.6672 Si
0.6199 0.2802 0.5833 Si
0.6207 0.1164 0.0836 Si
0.6219 0.2791 0.9165 Si
0.6217 0.2808 0.2501 Si
0.6265 0.1121 0.4157 Si
0.6268 0.1122 0.7507 Si
0.7279 0.3814 0.4173 Si
0.7281 0.3813 0.7492 Si
0.7292 0.3803 0.0838 Si
0.8875 0.3826 0.5833 Si
0.8911 0.3799 0.9162 Si
0.8926 0.3783 0.2501 Si
0.0658 0.2461 0.5834 O
0.0748 0.2399 0.9150 O
0.0770 0.6979 0.0823 O
0.0791 0.2436 0.2501 O
0.0805 0.6936 0.4165 O
0.0804 0.6937 0.7502 O
0.1283 0.3583 0.0361 O
0.1278 0.3604 0.4642 O
0.1278 0.3604 0.7025 O
0.1294 0.3576 0.1309 O
0.1286 0.3588 0.3694 O
0.1285 0.3589 0.7972 O
0.1365 0.5164 0.2967 O
0.1356 0.5190 0.9635 O
0.1368 0.5164 0.2034 O
0.1368 0.5168 0.8700 O
0.1372 0.5198 0.5365 O
0.1372 0.5198 0.6302 O
0.2086 0.0965 0.0822 O
0.2112 0.1004 0.4168 O
0.2110 0.1004 0.7498 O
0.2247 0.6985 0.9177 O
0.2265 0.6939 0.2501 O
0.2338 0.6915 0.5833 O
0.2894 0.9459 0.9177 O
0.2955 0.9419 0.2502 O
0.3028 0.7682 0.0840 O
0.3042 0.9207 0.5834 O
0.3136 0.7615 0.7497 O
0.3138 0.7617 0.4170 O
0.3427 0.1526 0.9625 O
0.3455 0.5164 0.7031 O
0.3455 0.5165 0.4636 O
0.3453 0.5188 0.0365 O
0.3462 0.5167 0.1300 O
0.3474 0.1396 0.8666 O
0.3473 0.5162 0.3702 O
0.3470 0.5160 0.7965 O
0.3492 0.1403 0.2987 O
0.3490 0.1409 0.2020 O
0.3542 0.1387 0.5319 O
0.3541 0.1387 0.6348 O
0.4710 0.8902 0.1351 O
0.4728 0.8893 0.7995 O
0.4730 0.8900 0.3666 O
0.4771 0.8854 0.4667 O
0.4770 0.8854 0.6999 O
0.4814 0.8755 0.0357 O
0.4816 0.6605 0.5359 O
0.4816 0.6605 0.6308 O
0.4890 0.6600 0.9664 O
0.4899 0.6608 0.2001 O
0.4903 0.6608 0.3003 O
0.4896 0.6613 0.8660 O
0.5048 0.1525 0.0375 O
0.5094 0.3580 0.5360 O
0.5094 0.3580 0.6307 O
0.5119 0.1404 0.3675 O
0.5117 0.1410 0.7987 O
0.5117 0.3590 0.2028 O
0.5119 0.3591 0.2974 O
0.5131 0.1395 0.1335 O
0.5129 0.3577 0.8691 O
0.5132 0.3581 0.9639 O
0.5153 0.1375 0.4638 O
0.5154 0.1375 0.7027 O
0.6372 0.8893 0.3001 O
0.6380 0.8889 0.2005 O
0.6386 0.8900 0.8650 O
0.6403 0.8869 0.5328 O
0.6403 0.8869 0.6338 O
0.6432 0.8755 0.9644 O
0.6517 0.4885 0.4646 O
0.6517 0.4885 0.7021 O
0.6534 0.4863 0.3702 O
0.6538 0.4861 0.7964 O
0.6540 0.4867 0.1306 O
0.6556 0.4818 0.0361 O
0.6778 0.2452 0.4168 O
0.6780 0.2452 0.7498 O
0.6855 0.2398 0.0850 O
0.6894 0.0994 0.5833 O
0.6885 0.1001 0.2501 O
0.6947 0.0965 0.9178 O
0.7592 0.3240 0.5834 O
0.7643 0.9459 0.0823 O
0.7649 0.9413 0.4156 O
0.7650 0.9414 0.7509 O
0.7698 0.3141 0.2501 O
0.7708 0.3120 0.9171 O
0.8494 0.6615 0.1341 O
0.8493 0.6607 0.3664 O
0.8496 0.6606 0.8000 O
0.8513 0.6600 0.0336 O
0.8515 0.6606 0.4667 O
0.8514 0.6606 0.7000 O
0.8542 0.4932 0.5367 O
0.8542 0.4932 0.6300 O
0.8596 0.4863 0.8694 O
0.8614 0.4837 0.2031 O
0.8613 0.4840 0.2971 O
0.8632 0.4813 0.9639 O
0.9147 0.3160 0.4173 O
0.9149 0.3159 0.7493 O
0.9171 0.3121 0.0829 O
0.9253 0.7613 0.2501 O
0.9290 0.7680 0.9160 O
0.9300 0.7680 0.5833 O
```

Summary:
As for the energy with MP2020 corrections: -7.91 eV per atom. Its space group is P1, No. 1.

Material: KMgP2H5O9
Method: DFT, GGA-PBE
State: optimized geometry

```
KMgP2H5O9
1.0
15.6884 0.0000 0.0000
0.0000 6.6793 0.0000
0.0000 0.0000 7.7986
K Mg P H O
4 4 8 20 36
direct
0.0355 0.1249 0.0000 K
0.4645 0.6249 0.5000 K
0.5355 0.3751 0.0000 K
0.9645 0.8751 0.5000 K
0.1972 0.9364 0.5051 Mg
0.3028 0.4364 0.0051 Mg
0.6972 0.5636 0.5051 Mg
0.8028 0.0636 0.0051 Mg
0.1353 0.6320 0.8108 P
0.1376 0.6405 0.1925 P
0.3624 0.1405 0.6925 P
0.3647 0.1320 0.3108 P
0.6353 0.8680 0.8108 P
0.6376 0.8595 0.1925 P
0.8624 0.3595 0.6925 P
0.8647 0.3680 0.3108 P
0.0110 0.4956 0.2509 H
0.1064 0.2720 0.6070 H
0.1091 0.2699 0.4055 H
0.2311 0.1048 0.9012 H
0.2323 0.1053 0.1113 H
0.2677 0.6053 0.6113 H
0.2689 0.6048 0.4012 H
0.3909 0.7699 0.9055 H
0.3936 0.7720 0.1070 H
0.4890 0.9956 0.7509 H
0.5110 0.0044 0.2509 H
0.6064 0.2280 0.6070 H
0.6091 0.2301 0.4055 H
0.7311 0.3952 0.9012 H
0.7323 0.3947 0.1113 H
0.7677 0.8947 0.6113 H
0.7689 0.8952 0.4012 H
0.8909 0.7301 0.9055 H
0.8936 0.7280 0.1070 H
0.9890 0.5044 0.7509 H
0.0736 0.4546 0.7799 O
0.0771 0.4547 0.2284 O
0.1103 0.1814 0.5067 O
0.1123 0.7215 0.0033 O
0.1173 0.8131 0.3120 O
0.1177 0.8095 0.6937 O
0.2176 0.1829 0.0061 O
0.2279 0.5637 0.8154 O
0.2286 0.5665 0.1922 O
0.2714 0.0665 0.6922 O
0.2721 0.0637 0.3154 O
0.2824 0.6829 0.5061 O
0.3823 0.3095 0.1937 O
0.3827 0.3131 0.8120 O
0.3877 0.2215 0.5033 O
0.3897 0.6814 0.0067 O
0.4229 0.9547 0.7284 O
0.4264 0.9546 0.2799 O
0.5736 0.0454 0.7799 O
0.5771 0.0453 0.2284 O
0.6103 0.3186 0.5067 O
0.6123 0.7785 0.0033 O
0.6173 0.6869 0.3120 O
0.6177 0.6905 0.6937 O
0.7176 0.3171 0.0061 O
0.7279 0.9363 0.8154 O
0.7286 0.9335 0.1922 O
0.7714 0.4335 0.6922 O
0.7721 0.4363 0.3154 O
0.7824 0.8171 0.5061 O
0.8823 0.1905 0.1937 O
0.8827 0.1869 0.8120 O
0.8877 0.2785 0.5033 O
0.8897 0.8186 0.0067 O
0.9229 0.5453 0.7284 O
0.9264 0.5454 0.2799 O
```

Summary:
As for the energy with MP2020 corrections: -6.38 eV per atom. Its space group is Pna2_1, No. 33.

Material: VOs
Method: DFT, GGA-PBE
State: optimized geometry

```
VOs
1.0
2.7634 0.0000 0.0000
-1.3817 2.3932 0.0000
0.0000 0.0000 4.2580
V Os
1 1
direct
0.0000 0.0000 0.0000 V
0.3333 0.6667 0.5000 Os
```

Summary:
Its space group is P-6m2, No. 187.

Material: La4As2S6O3
Method: DFT, GGA-PBE
State: optimized geometry

```
La4As2S6O3
1.0
-6.0771 9.6016 2.9535
6.0771 -9.6016 2.9535
6.0771 9.6016 -2.9535
La As S O
8 4 12 6
direct
0.0742 0.1007 0.1754 La
0.2215 0.8922 0.1137 La
0.2785 0.3922 0.6707 La
0.4253 0.6007 0.0265 La
0.5742 0.3988 0.9735 La
0.7215 0.6078 0.3293 La
0.7785 0.1078 0.8863 La
0.9253 0.8988 0.8246 La
0.0135 0.4941 0.2709 As
0.2231 0.7425 0.7291 As
0.5135 0.2425 0.5194 As
0.7231 0.9941 0.4806 As
0.0794 0.8017 0.8736 S
0.1117 0.3300 0.4646 S
0.2268 0.6378 0.8529 S
0.2849 0.1378 0.4110 S
0.3654 0.8300 0.2183 S
0.4281 0.3017 0.7222 S
0.5794 0.7058 0.2778 S
0.6117 0.1472 0.7817 S
0.7268 0.8739 0.5890 S
0.7849 0.3739 0.1471 S
0.8654 0.6472 0.5354 S
0.9281 0.2058 0.1264 S
0.0990 0.2554 0.8437 O
0.2565 0.2565 0.0000 O
0.4116 0.2553 0.1563 O
0.5990 0.7553 0.8437 O
0.7565 0.7565 0.0000 O
0.9116 0.7554 0.1563 O
```

Summary:
As for the energy with MP2020 corrections: -6.95 eV per atom. Its space group is Iba2, No. 45.

Material: Ca2GaAg
Method: DFT, GGA-PBE
State: optimized geometry

```
Ca2GaAg
1.0
4.5658 0.0000 0.0000
0.0000 2.0403 5.7830
0.0000 -2.0403 5.7830
Ca Ga Ag
2 1 1
direct
0.0000 0.0000 0.0000 Ca
0.5000 0.2910 0.2910 Ca
0.0000 0.7151 0.7151 Ga
0.5000 0.5805 0.5805 Ag
```

Summary:
Its space group is Amm2, No. 38.

Material: CaMg2TiAl2SiO10
Method: DFT, GGA-PBE
State: optimized geometry

```
CaMg2TiAl2SiO10
1.0
9.0212 0.0000 0.0000
4.0726 9.0376 0.0000
1.0432 4.4706 9.4255
Ca Mg Ti Al Si O
4 8 4 8 4 40
direct
0.0000 0.0000 0.0000 Ca
0.0214 0.9882 0.4605 Ca
0.7651 0.7612 0.3676 Ca
0.7925 0.7367 0.8408 Ca
0.2188 0.2269 0.8795 Mg
0.2473 0.1972 0.3621 Mg
0.3327 0.3136 0.0720 Mg
0.3457 0.3115 0.5729 Mg
0.4507 0.4265 0.2675 Mg
0.4519 0.4244 0.7645 Mg
0.6620 0.6297 0.1648 Mg
0.8972 0.3671 0.4127 Mg
0.1368 0.1197 0.6640 Ti
0.3847 0.8699 0.9274 Ti
0.5497 0.5388 0.4633 Ti
0.5758 0.5128 0.9601 Ti
0.1653 0.7038 0.8648 Al
0.1704 0.7096 0.3520 Al
0.3486 0.9361 0.2247 Al
0.4432 0.8018 0.6229 Al
0.7243 0.1369 0.1796 Al
0.7421 0.1396 0.6748 Al
0.8358 0.4197 0.7212 Al
0.9640 0.3089 0.1151 Al
0.0512 0.6020 0.1630 Si
0.0615 0.6013 0.6556 Si
0.6205 0.0294 0.4888 Si
0.6288 0.0288 0.9757 Si
0.0108 0.2286 0.7910 O
0.0141 0.6871 0.9879 O
0.0153 0.2422 0.2989 O
0.0252 0.6992 0.4812 O
0.0641 0.7349 0.7099 O
0.0741 0.7408 0.1977 O
0.1176 0.3358 0.0042 O
0.1337 0.3006 0.5111 O
0.1858 0.8811 0.8544 O
0.1958 0.8832 0.3230 O
0.2236 0.4377 0.2083 O
0.2285 0.4336 0.7017 O
0.2539 0.9787 0.5661 O
0.2827 0.9768 0.0437 O
0.3328 0.0874 0.7594 O
0.3468 0.5282 0.4065 O
0.3511 0.5318 0.9022 O
0.3752 0.0942 0.2362 O
0.4410 0.6405 0.5925 O
0.4541 0.6506 0.0704 O
0.4584 0.2010 0.4377 O
0.4623 0.1977 0.9298 O
0.5184 0.7430 0.8041 O
0.5327 0.7453 0.2970 O
0.5546 0.3258 0.1268 O
0.5615 0.3194 0.6284 O
0.5908 0.8665 0.5208 O
0.6056 0.8657 0.9863 O
0.6570 0.4325 0.3448 O
0.6728 0.4186 0.8347 O
0.7131 0.9945 0.6342 O
0.7184 0.9887 0.1264 O
0.7540 0.0311 0.3680 O
0.7680 0.4930 0.5380 O
0.7697 0.0470 0.8629 O
0.7702 0.5010 0.0366 O
0.8884 0.5847 0.2421 O
0.8992 0.1625 0.1133 O
0.8986 0.5701 0.7173 O
0.9236 0.1458 0.5975 O
```

Summary:
As for the energy with MP2020 corrections: -7.82 eV per atom. Its space group is P1, No. 1.

Number 1: V 17.993 Å³/atom, energy of formation -3.256 eV per atom. Number 2: V 15.799 Å³/atom, energy of formation -0.426 eV per atom. Number 3: V 13.846 Å³/atom, energy of formation -3.308 eV per atom. Number 4: V 11.350 Å³/atom, energy of formation -2.211 eV per atom. Number 5: V 14.080 Å³/atom, energy of formation 0.000 eV per atom. Number 6: V 22.978 Å³/atom, energy of formation -2.366 eV per atom. Number 7: V 26.936 Å³/atom, energy of formation -0.352 eV per atom. Number 8: V 11.301 Å³/atom, energy of formation -3.382 eV per atom.